[1]
A geometry-optimized Li3In2 structure, computed with PBE.

Space-group type: R-3m
Energy relative to the elements, eV/atom: -0.294

Cell and atoms, written as POSCAR:
```
Li3In2
1.0
5.099 -2.377 0.000
5.099 2.377 0.000
3.991 0.000 3.966
Li In
3 2
direct
0.596 0.596 0.596
0.404 0.404 0.404
0.000 0.000 0.000
0.791 0.791 0.791
0.209 0.209 0.209
```

***

[2]
A geometry-optimized Dy6Ta4Al43 structure, computed with PBE.

Space-group type: P6_3/mcm
Energy relative to the elements, eV/atom: -0.308

Cell and atoms, written as POSCAR:
```
Dy6Ta4Al43
1.0
-9.847 -3.539 -3.804
6.841 -7.092 5.182
-7.487 4.131 15.539
Al Dy Ta
86 12 8
direct
0.149 0.595 0.750
0.506 0.753 0.500
0.843 0.605 0.336
0.395 0.237 0.164
0.247 0.494 0.000
0.744 0.744 0.530
0.395 0.237 0.336
0.333 0.667 0.626
0.605 0.843 0.336
0.841 0.000 0.615
0.000 0.256 0.530
0.763 0.605 0.664
0.256 0.000 0.970
0.159 0.159 0.885
0.237 0.843 0.836
0.667 0.333 0.374
0.000 0.256 0.970
0.605 0.763 0.664
0.744 0.000 0.030
0.247 0.494 0.500
0.157 0.395 0.664
0.333 0.667 0.874
0.256 0.000 0.530
0.159 0.159 0.615
0.256 0.256 0.030
0.237 0.395 0.336
0.000 0.159 0.385
0.554 0.149 0.250
0.763 0.157 0.164
0.605 0.843 0.164
0.667 0.333 0.874
0.000 0.853 0.250
0.763 0.157 0.336
0.843 0.237 0.836
0.605 0.763 0.836
0.159 0.000 0.385
0.147 0.000 0.750
0.595 0.446 0.250
0.395 0.157 0.836
0.157 0.763 0.336
0.595 0.149 0.750
0.159 0.000 0.115
0.446 0.851 0.750
0.446 0.595 0.250
0.753 0.247 0.000
0.333 0.667 0.374
0.744 0.000 0.470
0.000 0.841 0.885
0.841 0.841 0.385
0.149 0.554 0.250
0.667 0.333 0.626
0.000 0.841 0.615
0.841 0.000 0.885
0.333 0.667 0.126
0.841 0.841 0.115
0.667 0.333 0.126
0.843 0.237 0.664
0.237 0.395 0.164
0.744 0.744 0.970
0.405 0.851 0.250
0.763 0.605 0.836
0.494 0.247 0.000
0.753 0.506 0.000
0.247 0.753 0.000
0.843 0.605 0.164
0.000 0.147 0.750
0.157 0.395 0.836
0.247 0.753 0.500
0.157 0.763 0.164
0.000 0.744 0.470
0.853 0.000 0.250
0.851 0.405 0.250
0.405 0.554 0.750
0.000 0.744 0.030
0.851 0.446 0.750
0.237 0.843 0.664
0.147 0.147 0.250
0.853 0.853 0.750
0.506 0.753 0.000
0.395 0.157 0.664
0.256 0.256 0.470
0.000 0.159 0.115
0.554 0.405 0.750
0.494 0.247 0.500
0.753 0.247 0.500
0.753 0.506 0.500
0.000 0.530 0.904
0.470 0.000 0.404
0.000 0.470 0.404
0.470 0.470 0.904
0.000 0.530 0.596
0.530 0.530 0.404
0.530 0.530 0.096
0.530 0.000 0.904
0.000 0.470 0.096
0.470 0.000 0.096
0.470 0.470 0.596
0.530 0.000 0.596
0.274 0.274 0.750
0.274 0.000 0.250
0.726 0.000 0.750
0.000 0.726 0.750
0.000 0.000 0.000
0.000 0.274 0.250
0.726 0.726 0.250
0.000 0.000 0.500
```

***

[3]
A geometry-optimized Na5Ca2La2P3S3O24 structure, computed with PBE.

Space-group type: P1
Energy relative to the elements, eV/atom: -2.760

Cell and atoms, written as POSCAR:
```
Na5Ca2La2P3S3O24
1.0
9.556 0.010 -0.027
-4.769 8.217 0.005
-0.070 -0.023 24.141
O Na S P La Ca
72 15 9 9 6 6
direct
0.646 0.545 0.641
0.485 0.344 0.748
0.506 0.867 0.080
0.806 0.813 0.585
0.211 0.981 0.194
0.012 0.813 0.414
0.207 0.184 0.085
0.139 0.481 0.254
0.833 0.317 0.249
0.150 0.483 0.581
0.891 0.344 0.639
0.125 0.652 0.754
0.467 0.113 0.633
0.127 0.445 0.963
0.316 0.442 0.471
0.100 0.439 0.863
0.781 0.797 0.201
0.347 0.481 0.080
0.154 0.663 0.086
0.212 0.201 0.796
0.667 0.539 0.919
0.354 0.881 0.873
0.171 0.199 0.417
0.461 0.349 0.134
0.823 0.998 0.417
0.543 0.683 0.963
0.873 0.516 0.418
0.447 0.128 0.534
0.990 0.176 0.585
0.691 0.537 0.247
0.533 0.848 0.755
0.189 0.996 0.918
0.860 0.333 0.918
0.803 0.015 0.806
0.900 0.560 0.144
0.008 0.821 0.085
0.541 0.683 0.254
0.674 0.154 0.418
0.977 0.210 0.308
0.664 0.541 0.536
0.110 0.656 0.364
0.452 0.324 0.034
0.337 0.457 0.370
0.327 0.882 0.977
0.482 0.148 0.247
0.501 0.142 0.922
0.787 0.984 0.701
0.797 0.835 0.916
0.877 0.547 0.039
0.206 0.014 0.587
0.803 0.783 0.300
0.834 0.528 0.749
0.673 0.123 0.032
0.870 0.317 0.533
0.133 0.679 0.464
0.003 0.212 0.203
0.559 0.884 0.471
0.501 0.653 0.583
0.466 0.334 0.421
0.220 0.236 0.691
0.316 0.480 0.751
0.801 0.005 0.087
0.646 0.113 0.133
0.554 0.891 0.364
0.696 0.163 0.749
0.004 0.186 0.915
0.358 0.869 0.580
0.212 0.008 0.298
0.984 0.777 0.800
0.010 0.781 0.700
0.323 0.843 0.252
0.552 0.662 0.863
0.626 0.632 0.741
0.301 0.629 0.160
0.670 0.966 0.575
0.325 0.663 0.659
0.961 0.285 0.411
0.616 0.296 0.824
0.306 0.353 0.588
0.993 0.344 0.744
0.015 0.980 0.992
0.643 0.022 0.254
0.691 0.028 0.909
0.967 0.962 0.492
0.630 0.304 0.327
0.298 0.953 0.078
0.002 0.632 0.239
0.639 0.680 0.916
0.988 0.687 0.751
0.369 0.338 0.084
0.369 0.031 0.584
0.658 0.027 0.083
0.034 0.671 0.416
0.705 0.699 0.251
0.324 0.358 0.420
0.027 0.353 0.915
0.976 0.336 0.586
0.651 0.977 0.418
0.983 0.644 0.089
0.656 0.637 0.587
0.309 0.310 0.748
0.704 0.005 0.754
0.990 0.304 0.255
0.307 0.001 0.249
0.337 0.975 0.924
0.680 0.354 0.985
0.673 0.341 0.485
0.333 0.678 0.819
0.000 0.999 0.653
0.005 0.009 0.152
0.341 0.673 0.319
0.320 0.659 0.015
0.009 0.004 0.347
0.666 0.331 0.681
0.669 0.339 0.181
0.024 0.010 0.849
0.337 0.673 0.514
```

***

[4]
A geometry-optimized CaZnGe structure, computed with PBE.

Space-group type: P6_3/mmc
Energy relative to the elements, eV/atom: -0.530

Cell and atoms, written as POSCAR:
```
CaZnGe
1.0
-2.159 -3.739 0.000
-2.159 3.739 0.000
0.000 0.000 -8.237
Ca Zn Ge
2 2 2
direct
0.000 0.000 0.500
0.000 0.000 0.000
0.667 0.333 0.250
0.333 0.667 0.750
0.667 0.333 0.750
0.333 0.667 0.250
```

***

[5]
A geometry-optimized Ba2AlTlSn2O7 structure, computed with PBE.

Space-group type: P4/mmm
Energy relative to the elements, eV/atom: -1.939

Cell and atoms, written as POSCAR:
```
Ba2AlTlSn2O7
1.0
-3.482 0.609 -2.186
1.394 -2.585 -2.941
-5.586 -9.973 6.120
O Sn Ba Al Tl
7 2 2 1 1
direct
0.000 0.500 0.401
0.000 0.000 0.784
0.000 0.000 0.216
0.500 0.500 0.000
0.000 0.500 0.599
0.500 0.000 0.599
0.500 0.000 0.401
0.000 0.000 0.626
0.000 0.000 0.374
0.500 0.500 0.191
0.500 0.500 0.809
0.500 0.500 0.500
0.000 0.000 0.000
```

***

[6]
A geometry-optimized ZnCu2Ni structure, computed with PBE.

Space-group type: R3m
Energy relative to the elements, eV/atom: -0.040

Cell and atoms, written as POSCAR:
```
ZnCu2Ni
1.0
-6.296 -5.476 -0.716
-5.382 -5.596 -3.141
-4.320 -7.060 -1.280
Cu Zn Ni
2 1 1
direct
0.501 0.501 0.501
0.251 0.251 0.251
0.748 0.748 0.748
0.000 0.000 0.000
```

***

[7]
A geometry-optimized P2PbXe3F18 structure, computed with PBE.

Space-group type: C2/m
Energy relative to the elements, eV/atom: -2.122

Cell and atoms, written as POSCAR:
```
P2PbXe3F18
1.0
3.690 -5.306 -5.986
5.439 -3.307 6.089
-6.198 -9.067 2.399
F Xe P Pb
36 6 4 2
direct
0.883 0.883 0.466
0.971 0.372 0.115
0.720 0.432 0.367
0.333 0.069 0.409
0.372 0.971 0.115
0.289 0.289 0.285
0.931 0.667 0.591
0.432 0.720 0.367
0.460 0.460 0.826
0.628 0.029 0.885
0.086 0.086 0.826
0.610 0.865 0.062
0.636 0.981 0.312
0.418 0.872 0.934
0.019 0.364 0.688
0.135 0.390 0.938
0.872 0.418 0.934
0.390 0.135 0.938
0.304 0.304 0.489
0.667 0.931 0.591
0.364 0.019 0.688
0.865 0.610 0.062
0.899 0.899 0.671
0.711 0.711 0.715
0.582 0.128 0.066
0.029 0.628 0.885
0.914 0.914 0.174
0.101 0.101 0.329
0.568 0.280 0.633
0.128 0.582 0.066
0.981 0.636 0.312
0.069 0.333 0.409
0.117 0.117 0.534
0.540 0.540 0.174
0.280 0.568 0.633
0.696 0.696 0.511
0.000 0.000 0.000
0.319 0.794 0.664
0.500 0.500 0.000
0.206 0.681 0.336
0.681 0.206 0.336
0.794 0.319 0.664
0.199 0.199 0.406
0.500 0.000 0.000
0.000 0.500 0.000
0.801 0.801 0.594
0.715 0.715 0.279
0.285 0.285 0.721
```

***

[8]
A geometry-optimized Ba2PCl structure, computed with PBE.

Space-group type: R-3m
Energy relative to the elements, eV/atom: -1.818

Cell and atoms, written as POSCAR:
```
Ba2PCl
1.0
0.699 2.337 -3.987
0.699 -2.337 -3.987
-7.112 0.000 -3.987
Ba Cl P
2 1 1
direct
0.240 0.240 0.279
0.760 0.760 0.721
0.000 0.000 0.000
0.500 0.500 0.500
```

***

[9]
A geometry-optimized Zr2InC structure, computed with PBE.

Space-group type: P6_3/mmc
Energy relative to the elements, eV/atom: -0.692

Cell and atoms, written as POSCAR:
```
Zr2InC
1.0
-0.110 3.043 1.451
2.753 -0.962 -1.695
-5.774 5.842 -12.696
Zr In C
4 2 2
direct
0.333 0.667 0.918
0.333 0.667 0.582
0.667 0.333 0.082
0.667 0.333 0.418
0.333 0.667 0.250
0.667 0.333 0.750
0.000 0.000 0.500
0.000 0.000 0.000
```

***

[10]
A geometry-optimized KGdC2O6 structure, computed with PBE.

Space-group type: C2/c
Energy relative to the elements, eV/atom: -2.556

Cell and atoms, written as POSCAR:
```
KGdC2O6
1.0
-3.841 -0.432 -5.224
5.653 -1.063 -3.023
-0.143 -6.983 -1.385
O C Gd K
12 4 2 2
direct
0.747 0.793 0.122
0.404 0.946 0.774
0.469 0.703 0.395
0.531 0.297 0.605
0.297 0.531 0.105
0.596 0.054 0.226
0.703 0.469 0.895
0.054 0.596 0.726
0.946 0.404 0.274
0.793 0.747 0.622
0.253 0.207 0.878
0.207 0.253 0.378
0.144 0.393 0.254
0.856 0.607 0.746
0.607 0.856 0.246
0.393 0.144 0.754
0.405 0.595 0.750
0.595 0.405 0.250
0.122 0.878 0.250
0.878 0.122 0.750
```

***

[11]
A geometry-optimized Ti2SnC structure, computed with PBE.

Space-group type: P6_3/mmc
Energy relative to the elements, eV/atom: -0.722

Cell and atoms, written as POSCAR:
```
Ti2SnC
1.0
-1.519 -0.237 2.777
-0.758 -1.942 -2.394
9.427 -9.077 4.380
Ti C Sn
4 2 2
direct
0.333 0.667 0.419
0.667 0.333 0.581
0.667 0.333 0.919
0.333 0.667 0.081
0.000 0.000 0.500
0.000 0.000 0.000
0.333 0.667 0.750
0.667 0.333 0.250
```

***

[12]
A geometry-optimized Tb2MgNb2O8 structure, computed with PBE.

Space-group type: C2
E above lowest polymorph, meV per atom: 83
Energy relative to the elements, eV/atom: -3.141

Cell and atoms, written as POSCAR:
```
Tb2MgNb2O8
1.0
-3.263 3.484 3.509
3.484 -3.263 3.509
3.741 3.741 -3.260
O Nb Mg Tb
8 2 1 2
direct
0.111 0.292 0.789
0.110 0.766 0.687
0.468 0.395 0.251
0.675 0.960 0.671
0.708 0.889 0.211
0.040 0.325 0.329
0.234 0.890 0.313
0.605 0.532 0.749
0.332 0.668 0.500
0.467 0.533 0.000
0.029 0.971 0.500
0.726 0.274 0.500
0.004 0.996 0.000
```

***

What did the first record say?
A geometry-optimized Li3In2 structure, computed with PBE.

Space-group type: R-3m
Energy relative to the elements, eV/atom: -0.294

Cell and atoms, written as POSCAR:
```
Li3In2
1.0
5.099 -2.377 0.000
5.099 2.377 0.000
3.991 0.000 3.966
Li In
3 2
direct
0.596 0.596 0.596
0.404 0.404 0.404
0.000 0.000 0.000
0.791 0.791 0.791
0.209 0.209 0.209
```

***

Which formula does entry 8 have? Ba2PCl